Entry 1:
{"formula": "Eu2CdSn", "functional": "GGA-PBE", "state": "optimized geometry", "cell": [[7.9420, 0.0000, 0.0000], [0.0000, 7.9420, 0.0000], [0.0000, 0.0000, 7.9420]], "species": ["Eu", "Eu", "Eu", "Eu", "Eu", "Eu", "Eu", "Eu", "Cd", "Cd", "Cd", "Cd", "Sn", "Sn", "Sn", "Sn"], "fractional_positions": [[0.2500, 0.2500, 0.2500], [0.2500, 0.2500, 0.7500], [0.2500, 0.7500, 0.2500], [0.2500, 0.7500, 0.7500], [0.7500, 0.2500, 0.2500], [0.7500, 0.2500, 0.7500], [0.7500, 0.7500, 0.2500], [0.7500, 0.7500, 0.7500], [0.0000, 0.0000, 0.0000], [0.0000, 0.5000, 0.5000], [0.5000, 0.0000, 0.5000], [0.5000, 0.5000, 0.0000], [0.0000, 0.0000, 0.5000], [0.0000, 0.5000, 0.0000], [0.5000, 0.0000, 0.0000], [0.5000, 0.5000, 0.5000]], "spacegroup": "No. 225", "final_energy_ev_per_cell": -111.0}

=====

Entry 2:
{"formula": "EuTl2Cd", "functional": "GGA-PBE", "state": "optimized geometry", "cell": [[7.7219, 0.0000, 0.0000], [0.0000, 7.7219, 0.0000], [0.0000, 0.0000, 7.7219]], "species": ["Eu", "Eu", "Eu", "Eu", "Tl", "Tl", "Tl", "Tl", "Tl", "Tl", "Tl", "Tl", "Cd", "Cd", "Cd", "Cd"], "fractional_positions": [[0.0000, 0.0000, 0.0000], [0.0000, 0.5000, 0.5000], [0.5000, 0.0000, 0.5000], [0.5000, 0.5000, 0.0000], [0.2500, 0.2500, 0.2500], [0.2500, 0.2500, 0.7500], [0.2500, 0.7500, 0.2500], [0.2500, 0.7500, 0.7500], [0.7500, 0.2500, 0.2500], [0.7500, 0.2500, 0.7500], [0.7500, 0.7500, 0.2500], [0.7500, 0.7500, 0.7500], [0.0000, 0.0000, 0.5000], [0.0000, 0.5000, 0.0000], [0.5000, 0.0000, 0.0000], [0.5000, 0.5000, 0.5000]], "spacegroup": "No. 225", "final_energy_ev_per_cell": -68.1}

=====

What E_form values result from the calculations? In sequence: -574 -280 meV per atom.